An optimized crystal structure of BaLa4TiCr4O15, computed with PBE+U.

Values from the calculation:
* relative energy among the computed polymorphs: 170 meV per atom

a = 5.581 Å, b = 7.919 Å, c = 14.806 Å
α = 105.32°, β = 100.60°, γ = 90.86°
Space group P-1 (No. 2)
Inequivalent atoms, fractional coordinates:
1 Ba 0.001 0.251 0.003 [2 per cell]
2 La 0.200 0.448 0.397 [2 per cell]
3 La 0.201 0.950 0.400 [2 per cell]
4 La 0.399 0.149 0.798 [2 per cell]
5 La 0.401 0.649 0.798 [2 per cell]
6 Ti 0.500 0.000 0.000 [1 per cell]
7 Ti 0.500 0.500 0.000 [1 per cell]
8 Cr 0.097 0.102 0.203 [2 per cell]
9 Cr 0.105 0.601 0.203 [2 per cell]
10 Cr 0.299 0.298 0.598 [2 per cell]
11 Cr 0.300 0.800 0.598 [2 per cell]
12 O 0.028 0.206 0.486 [2 per cell]
13 O 0.056 0.371 0.684 [2 per cell]
14 O 0.097 0.345 0.192 [2 per cell]
15 O 0.113 0.863 0.226 [2 per cell]
16 O 0.149 0.825 0.713 [2 per cell]
17 O 0.200 0.973 0.905 [2 per cell]
18 O 0.223 0.424 0.888 [2 per cell]
19 O 0.285 0.536 0.571 [2 per cell]
20 O 0.295 0.569 0.095 [2 per cell]
21 O 0.314 0.064 0.629 [2 per cell]
22 O 0.335 0.036 0.112 [2 per cell]
23 O 0.370 0.185 0.317 [2 per cell]
24 O 0.433 0.612 0.288 [2 per cell]
25 O 0.454 0.781 0.485 [2 per cell]
26 O 0.492 0.740 0.982 [2 per cell]

An optimized crystal structure of Li9Mn2Co5O16, computed with PBE+U.

Values from the calculation:
* relative energy among the computed polymorphs: 38 meV per atom

a = 5.775 Å, b = 6.613 Å, c = 7.736 Å
α = 89.46°, β = 78.73°, γ = 77.53°
Space group P1 (No. 1)
Inequivalent atoms, fractional coordinates:
1 Li 0.000 0.000 0.000 [1 per cell]
2 Li 0.002 0.486 0.487 [1 per cell]
3 Li 0.125 0.364 0.119 [1 per cell]
4 Li 0.244 0.251 0.760 [1 per cell]
5 Li 0.251 0.740 0.234 [1 per cell]
6 Li 0.496 0.998 0.996 [1 per cell]
7 Li 0.501 0.486 0.492 [1 per cell]
8 Li 0.752 0.243 0.750 [1 per cell]
9 Li 0.761 0.733 0.234 [1 per cell]
10 Mn 0.375 0.119 0.362 [1 per cell]
11 Mn 0.625 0.869 0.618 [1 per cell]
12 Co 0.123 0.864 0.623 [1 per cell]
13 Co 0.367 0.611 0.880 [1 per cell]
14 Co 0.632 0.365 0.117 [1 per cell]
15 Co 0.870 0.607 0.880 [1 per cell]
16 Co 0.876 0.115 0.366 [1 per cell]
17 O 0.069 0.170 0.535 [1 per cell]
18 O 0.072 0.686 0.044 [1 per cell]
19 O 0.178 0.563 0.689 [1 per cell]
20 O 0.187 0.056 0.204 [1 per cell]
21 O 0.323 0.930 0.787 [1 per cell]
22 O 0.335 0.401 0.302 [1 per cell]
23 O 0.438 0.823 0.444 [1 per cell]
24 O 0.455 0.318 0.941 [1 per cell]
25 O 0.569 0.685 0.050 [1 per cell]
26 O 0.572 0.157 0.542 [1 per cell]
27 O 0.670 0.583 0.684 [1 per cell]
28 O 0.683 0.050 0.203 [1 per cell]
29 O 0.807 0.398 0.296 [1 per cell]
30 O 0.809 0.922 0.788 [1 per cell]
31 O 0.926 0.315 0.935 [1 per cell]
32 O 0.927 0.821 0.444 [1 per cell]

An optimized crystal structure of RbMgInW2O8, computed with PBE+U.

Values from the calculation:
* relative energy among the computed polymorphs: 0 meV per atom

a = 6.0546 Å, b = 6.0546 Å, c = 10.3073 Å
α = 90.00°, β = 90.00°, γ = 120.00°
Space group P3m1 (No. 156)
Inequivalent atoms, fractional coordinates:
1 Rb 0.0000 0.0000 0.0000 [1 per cell]
2 Mg 0.0000 0.0000 0.6533 [1 per cell]
3 In 0.0000 0.0000 0.3752 [1 per cell]
4 W 0.3333 0.6667 0.7866 [1 per cell]
5 W 0.6667 0.3333 0.1897 [1 per cell]
6 O 0.1688 0.3376 0.7292 [3 per cell]
7 O 0.3333 0.6667 0.9589 [1 per cell]
8 O 0.3350 0.1675 0.2451 [3 per cell]
9 O 0.6667 0.3333 0.0174 [1 per cell]

Number 1: energy of formation -3058 meV/atom, total magnetization 0.06 μB/atom, calculated total energy -8.021 eV per atom. Number 2: energy of formation -1826 meV/atom, total magnetization 0.38 μB/atom, calculated total energy -5.817 eV per atom. Number 3: energy of formation -2150 meV/atom, total magnetization 0.00 μB/atom, calculated total energy -6.493 eV per atom.